1.
First-principles (PBE-GGA) data for a geometry-optimized BaMgH4 structure, as listed in Materials Project.

Results
corrected total energy (MP2020 scheme): -0.24595 Ry per atom
total DFT energy (no corrections): -19.4 eV/f.u.

Cell: 4.2000 13.7752 5.7076 Å, 90.00 90.00 90.00°
Space group Cmcm (No. 63)
Symmetry-distinct sites (fractional):
Ba  0.0000  0.1374  0.2500 [4 per cell]
Mg  0.0000  0.4050  0.2500 [4 per cell]
H  0.0000  0.0810  0.7500 [4 per cell]
H  0.0000  0.3111  0.0096 [8 per cell]
H  0.0000  0.5000  0.0000 [4 per cell]

***

2.
First-principles (PBE-GGA) data for a geometry-optimized EuSi2Ru2 structure, as listed in Materials Project.

Results
total DFT energy (no corrections): -43.5 eV/f.u.

Cell: 4.2387 4.2387 9.8851 Å, 90.00 90.00 90.00°
Space group I4/mmm (No. 139)
Symmetry-distinct sites (fractional):
Eu  0.0000  0.0000  0.0000 [2 per cell]
Si  0.0000  0.0000  0.3609 [4 per cell]
Ru  0.0000  0.5000  0.2500 [4 per cell]

***

| no. | DFT formation energy (meV/atom) |
| --- | --- |
| 1 | -498 |
| 2 | -764 |